DFT (PBE-GGA) results for crystalline LaI3O9 at its relaxed geometry.

Energy of formation from the pure elements: -1.0216 eV per atom
Total energy: -4.70 eV/atom
ΔE to the lowest computed polymorph: 0.473 eV/atom

Cell lengths 7.1402, 8.2068, 6.6959 Å; angles 90.00, 90.00, 90.00 degrees
Closest atoms and distances in Å follow each position.
Fractional positions:
O  0.5000  0.0000  0.2635  1 La 2.30, 2 I 2.54
O  0.6741  0.3550  0.4781  1 I 1.94, 1 O 2.06
O  0.5000  0.2348  0.8761  1 I 1.87
O  0.8259  0.8550  0.5219  1 I 1.94, 1 O 2.06
O  0.1737  0.0000  0.8979  2 I 2.12
La  0.5000  0.0000  0.6077  1 O 2.30
O  0.8263  0.0000  0.8979  2 I 2.12
I  0.5000  0.5000  0.6108  4 O 1.94
O  0.6737  0.5000  0.1021  2 I 2.12
La  0.0000  0.5000  0.3923  1 O 2.30
O  0.6741  0.6450  0.4781  1 I 1.94, 1 O 2.06
O  0.1741  0.1450  0.5219  1 I 1.94, 1 O 2.06
I  0.0000  0.0000  0.3892  4 O 1.94
O  0.8259  0.1450  0.5219  1 I 1.94, 1 O 2.06
O  0.3259  0.3550  0.4781  1 I 1.94, 1 O 2.06
O  0.3263  0.5000  0.1021  2 I 2.12
I  0.5000  0.2940  0.1452  1 O 1.87
I  0.5000  0.7060  0.1452  1 O 1.87
O  0.0000  0.7348  0.1239  1 I 1.87
O  0.0000  0.5000  0.7365  1 La 2.30, 2 I 2.54
O  0.5000  0.7652  0.8761  1 I 1.87
I  0.0000  0.2060  0.8548  1 O 1.87
O  0.1741  0.8550  0.5219  1 I 1.94, 1 O 2.06
O  0.0000  0.2652  0.1239  1 I 1.87
I  0.0000  0.7940  0.8548  1 O 1.87
O  0.3259  0.6450  0.4781  1 I 1.94, 1 O 2.06